Below is a relaxed Si4NiO10 crystal, with properties calculated at the GGA+U level.

Cell: 7.3351 15.8435 10.3648 Å, 90.00 134.95 90.00°
Last column: nearest neighbours and their distance in Å.
Fractional coordinates of all 60 atoms:
Si1 0.0646 0.1505 0.4935  4 O 1.63-1.64
Si2 0.0646 0.8495 0.9935  4 O 1.63-1.64
Si3 0.0660 0.3495 0.5725  4 O 1.63-1.64
Si4 0.0660 0.6505 0.0725  4 O 1.63-1.64
Si5 0.4211 0.1516 0.4285  4 O 1.62-1.63
Si6 0.4209 0.3497 0.9936  4 O 1.63
Si7 0.4209 0.6503 0.4936  4 O 1.63
Si8 0.4211 0.8484 0.9285  4 O 1.62-1.63
Si9 0.5789 0.1516 0.0715  4 O 1.62-1.63
Si10 0.5791 0.3497 0.5064  4 O 1.63
Si11 0.5791 0.6503 0.0064  4 O 1.63
Si12 0.5789 0.8484 0.5715  4 O 1.62-1.63
Si13 0.9340 0.3495 0.9275  4 O 1.63-1.64
Si14 0.9340 0.6505 0.4275  4 O 1.63-1.64
Si15 0.9354 0.1505 0.0065  4 O 1.63-1.64
Si16 0.9354 0.8495 0.5065  4 O 1.63-1.64
Ni1 0.0000 0.0910 0.7500  4 O 1.78-1.82
Ni2 0.0000 0.4084 0.2500  4 O 1.79-1.82
Ni3 0.0000 0.5916 0.7500  4 O 1.79-1.82
Ni4 0.0000 0.9090 0.2500  4 O 1.78-1.82
O1 0.0783 0.2496 0.5411  2 Si 1.63
O2 0.0783 0.7504 0.0411  2 Si 1.63
O3 0.1116 0.0870 0.6394  1 Si 1.64, 1 Ni 1.82
O4 0.1116 0.9130 0.1394  1 Si 1.64, 1 Ni 1.82
O5 0.1170 0.4114 0.4741  1 Si 1.64, 1 Ni 1.82
O6 0.1170 0.5886 0.9741  1 Si 1.64, 1 Ni 1.82
O7 0.2141 0.1311 0.2116  2 Si 1.63
O8 0.2138 0.3701 0.0034  2 Si 1.63
O9 0.2138 0.6299 0.5034  2 Si 1.63
O10 0.2141 0.8689 0.7116  2 Si 1.63
O11 0.2921 0.1309 0.5035  2 Si 1.63
O12 0.2917 0.3703 0.7895  2 Si 1.63
O13 0.2917 0.6297 0.2895  2 Si 1.63
O14 0.2921 0.8691 0.0035  2 Si 1.63
O15 0.3245 0.0930 0.9690  1 Si 1.63, 1 Ni 1.78
O16 0.3236 0.4076 0.3532  1 Si 1.63, 1 Ni 1.79
O17 0.3236 0.5924 0.8532  1 Si 1.63, 1 Ni 1.79
O18 0.3245 0.9070 0.4690  1 Si 1.63, 1 Ni 1.78
O19 0.4999 0.2505 0.0386  2 Si 1.62-1.63
O20 0.5001 0.2505 0.4614  2 Si 1.62-1.63
O21 0.4999 0.7495 0.5386  2 Si 1.62-1.63
O22 0.5001 0.7495 0.9614  2 Si 1.62-1.63
O23 0.6755 0.0930 0.5310  1 Si 1.63, 1 Ni 1.78
O24 0.6764 0.4076 0.1468  1 Si 1.63, 1 Ni 1.79
O25 0.6764 0.5924 0.6468  1 Si 1.63, 1 Ni 1.79
O26 0.6755 0.9070 0.0310  1 Si 1.63, 1 Ni 1.78
O27 0.7079 0.1309 0.9965  2 Si 1.63
O28 0.7083 0.3703 0.7105  2 Si 1.63
O29 0.7083 0.6297 0.2105  2 Si 1.63
O30 0.7079 0.8691 0.4965  2 Si 1.63
O31 0.7859 0.1311 0.2884  2 Si 1.63
O32 0.7862 0.3701 0.4966  2 Si 1.63
O33 0.7862 0.6299 0.9966  2 Si 1.63
O34 0.7859 0.8689 0.7884  2 Si 1.63
O35 0.8830 0.4114 0.0259  1 Si 1.64, 1 Ni 1.82
O36 0.8830 0.5886 0.5259  1 Si 1.64, 1 Ni 1.82
O37 0.8884 0.0870 0.8606  1 Si 1.64, 1 Ni 1.82
O38 0.8884 0.9130 0.3606  1 Si 1.64, 1 Ni 1.82
O39 0.9217 0.2496 0.9589  2 Si 1.63
O40 0.9217 0.7504 0.4589  2 Si 1.63

Calculated values
**Density**: 2.6 g/cm3
**Offset from the most stable computed form**: 0.016 eV/atom
**Total magnetic moment**: 0.13 μB per atom
**Space-group type**: P2/c, No. 13

Below is a relaxed Y2Si3Ni3O12 crystal, with properties calculated at the GGA+U level.

Cell: 10.6398 10.6398 10.6398 Å, 109.47 109.47 109.47°
Last column: nearest neighbours and their distance in Å.
Fractional coordinates of all 80 atoms:
Y1 0.0000 0.0000 0.0000  6 O 2.22
Y2 0.0000 0.0000 0.5000  6 O 2.22
Y3 0.0000 0.5000 0.0000  6 O 2.22
Y4 0.0000 0.5000 0.5000  6 O 2.22
Y5 0.5000 0.0000 0.0000  6 O 2.22
Y6 0.5000 0.0000 0.5000  6 O 2.22
Y7 0.5000 0.5000 0.0000  6 O 2.22
Y8 0.5000 0.5000 0.5000  6 O 2.22
Si1 0.1250 0.7500 0.8750  4 O 1.66
Si2 0.1250 0.8750 0.2500  4 O 1.66
Si3 0.2500 0.1250 0.8750  4 O 1.66
Si4 0.2500 0.6250 0.3750  4 O 1.66
Si5 0.3750 0.2500 0.6250  4 O 1.66
Si6 0.3750 0.6250 0.7500  4 O 1.66
Si7 0.6250 0.3750 0.2500  4 O 1.66
Si8 0.6250 0.7500 0.3750  4 O 1.66
Si9 0.7500 0.3750 0.6250  4 O 1.66
Si10 0.7500 0.8750 0.1250  4 O 1.66
Si11 0.8750 0.1250 0.7500  4 O 1.66
Si12 0.8750 0.2500 0.1250  4 O 1.66
Ni1 0.1250 0.2500 0.3750  8 O 2.34-2.44
Ni2 0.1250 0.3750 0.7500  8 O 2.34-2.44
Ni3 0.2500 0.3750 0.1250  8 O 2.34-2.44
Ni4 0.2500 0.8750 0.6250  8 O 2.34-2.44
Ni5 0.3750 0.1250 0.2500  8 O 2.34-2.44
Ni6 0.3750 0.7500 0.1250  8 O 2.34-2.44
Ni7 0.6250 0.2500 0.8750  8 O 2.34-2.44
Ni8 0.6250 0.8750 0.7500  8 O 2.34-2.44
Ni9 0.7500 0.1250 0.3750  8 O 2.34-2.44
Ni10 0.7500 0.6250 0.8750  8 O 2.34-2.44
Ni11 0.8750 0.6250 0.2500  8 O 2.34-2.44
Ni12 0.8750 0.7500 0.6250  8 O 2.34-2.44
O1 0.0228 0.2259 0.1307  1 Si 1.66
O2 0.0228 0.2969 0.8921  1 Si 1.66
O3 0.0952 0.7259 0.7031  1 Si 1.66
O4 0.0952 0.8693 0.3921  1 Si 1.66
O5 0.1079 0.6307 0.4048  1 Si 1.66
O6 0.1079 0.9772 0.7031  1 Si 1.66
O7 0.1307 0.0228 0.2259  1 Si 1.66
O8 0.1307 0.6079 0.9048  1 Si 1.66
O9 0.2031 0.2259 0.5951  1 Si 1.66
O10 0.2031 0.4772 0.6079  1 Si 1.66
O11 0.2259 0.1307 0.0228  1 Si 1.66
O12 0.2259 0.5951 0.2031  1 Si 1.66
O13 0.2741 0.2969 0.9048  1 Si 1.66
O14 0.2741 0.4772 0.3693  1 Si 1.66
O15 0.2969 0.8921 0.0228  1 Si 1.66
O16 0.2969 0.9048 0.2741  1 Si 1.66
O17 0.3693 0.2741 0.4772  1 Si 1.66
O18 0.3693 0.5952 0.8921  1 Si 1.66
O19 0.3921 0.0952 0.8693  1 Si 1.66
O20 0.3921 0.7969 0.5228  1 Si 1.66
O21 0.4048 0.1079 0.6307  1 Si 1.66
O22 0.4048 0.7969 0.7741  1 Si 1.66
O23 0.4772 0.3693 0.2741  1 Si 1.66
O24 0.4772 0.6079 0.2031  1 Si 1.66
O25 0.5228 0.3921 0.7969  1 Si 1.66
O26 0.5228 0.6307 0.7259  1 Si 1.66
O27 0.5952 0.2031 0.2259  1 Si 1.66
O28 0.5952 0.8921 0.3693  1 Si 1.66
O29 0.6079 0.2031 0.4772  1 Si 1.66
O30 0.6079 0.9048 0.1307  1 Si 1.66
O31 0.6307 0.4048 0.1079  1 Si 1.66
O32 0.6307 0.7259 0.5228  1 Si 1.66
O33 0.7031 0.0951 0.7259  1 Si 1.66
O34 0.7031 0.1079 0.9772  1 Si 1.66
O35 0.7259 0.5228 0.6307  1 Si 1.66
O36 0.7259 0.7031 0.0951  1 Si 1.66
O37 0.7741 0.4048 0.7969  1 Si 1.66
O38 0.7741 0.8693 0.9772  1 Si 1.66
O39 0.7969 0.5228 0.3921  1 Si 1.66
O40 0.7969 0.7741 0.4048  1 Si 1.66
O41 0.8693 0.3921 0.0952  1 Si 1.66
O42 0.8693 0.9772 0.7741  1 Si 1.66
O43 0.8921 0.0228 0.2969  1 Si 1.66
O44 0.8921 0.3693 0.5952  1 Si 1.66
O45 0.9048 0.1307 0.6079  1 Si 1.66
O46 0.9048 0.2741 0.2969  1 Si 1.66
O47 0.9772 0.7031 0.1079  1 Si 1.66
O48 0.9772 0.7741 0.8693  1 Si 1.66

Calculated values
**Electronic total energy**: -569.68 eV for the cell shown
**Density**: 4.5 g/cm3
**Total magnetic moment**: 0.30 μB per atom
**Space-group type**: Ia-3d, No. 230

Below is a relaxed ZnSi4NiO10 crystal, with properties calculated at the GGA+U level.

Cell: 7.2701 7.2701 14.9301 Å, 90.00 90.00 90.00°
Last column: nearest neighbours and their distance in Å.
Fractional coordinates of all 64 atoms:
Zn1 0.2500 0.7500 0.0000  4 O 2.14
Zn2 0.2500 0.7500 0.5000  4 O 2.14
Zn3 0.7500 0.2500 0.0000  4 O 2.14
Zn4 0.7500 0.2500 0.5000  4 O 2.14
Si1 0.0100 0.5872 0.1444  4 O 1.62-1.63
Si2 0.0100 0.9128 0.6444  4 O 1.62-1.63
Si3 0.0872 0.5100 0.3556  4 O 1.62-1.63
Si4 0.0872 0.9900 0.8556  4 O 1.62-1.63
Si5 0.4128 0.5100 0.8556  4 O 1.62-1.63
Si6 0.4128 0.9900 0.3556  4 O 1.62-1.63
Si7 0.4900 0.5872 0.6444  4 O 1.62-1.63
Si8 0.4900 0.9128 0.1444  4 O 1.62-1.63
Si9 0.5100 0.0872 0.8556  4 O 1.62-1.63
Si10 0.5100 0.4128 0.3556  4 O 1.62-1.63
Si11 0.5872 0.0100 0.6444  4 O 1.62-1.63
Si12 0.5872 0.4900 0.1444  4 O 1.62-1.63
Si13 0.9128 0.0100 0.1444  4 O 1.62-1.63
Si14 0.9128 0.4900 0.6444  4 O 1.62-1.63
Si15 0.9900 0.0872 0.3556  4 O 1.62-1.63
Si16 0.9900 0.4128 0.8556  4 O 1.62-1.63
Ni1 0.2500 0.2500 0.0700  4 O 2.01
Ni2 0.2500 0.2500 0.5700  4 O 2.01
Ni3 0.7500 0.7500 0.4300  4 O 2.01
Ni4 0.7500 0.7500 0.9300  4 O 2.01
O1 0.0005 0.1926 0.8754  2 Si 1.63
O2 0.0005 0.3074 0.3754  2 Si 1.63
O3 0.0132 0.6653 0.4250  1 Si 1.62
O4 0.0132 0.8347 0.9250  1 Si 1.62
O5 0.0530 0.5530 0.2500  2 Si 1.63
O6 0.0530 0.9470 0.7500  2 Si 1.63
O7 0.1653 0.5132 0.0750  1 Si 1.62
O8 0.1653 0.9868 0.5750  1 Si 1.62
O9 0.1926 0.0005 0.3754  2 Si 1.63
O10 0.1926 0.4995 0.8754  2 Si 1.63
O11 0.3074 0.0005 0.8754  2 Si 1.63
O12 0.3074 0.4995 0.3754  2 Si 1.63
O13 0.3347 0.5132 0.5750  1 Si 1.62
O14 0.3347 0.9868 0.0750  1 Si 1.62
O15 0.4470 0.5530 0.7500  2 Si 1.63
O16 0.4470 0.9470 0.2500  2 Si 1.63
O17 0.4868 0.6653 0.9250  1 Si 1.62
O18 0.4868 0.8347 0.4250  1 Si 1.62
O19 0.4995 0.1926 0.3754  2 Si 1.63
O20 0.4995 0.3074 0.8754  2 Si 1.63
O21 0.5005 0.6926 0.1246  2 Si 1.63
O22 0.5005 0.8074 0.6246  2 Si 1.63
O23 0.5132 0.1653 0.5750  1 Si 1.62
O24 0.5132 0.3347 0.0750  1 Si 1.62
O25 0.5530 0.0530 0.7500  2 Si 1.63
O26 0.5530 0.4470 0.2500  2 Si 1.63
O27 0.6653 0.0132 0.9250  1 Si 1.62
O28 0.6653 0.4868 0.4250  1 Si 1.62
O29 0.6926 0.5005 0.6246  2 Si 1.63
O30 0.6926 0.9995 0.1246  2 Si 1.63
O31 0.8074 0.5005 0.1246  2 Si 1.63
O32 0.8074 0.9995 0.6246  2 Si 1.63
O33 0.8347 0.0132 0.4250  1 Si 1.62
O34 0.8347 0.4868 0.9250  1 Si 1.62
O35 0.9470 0.0530 0.2500  2 Si 1.63
O36 0.9470 0.4470 0.7500  2 Si 1.63
O37 0.9868 0.1653 0.0750  1 Si 1.62
O38 0.9868 0.3347 0.5750  1 Si 1.62
O39 0.9995 0.6926 0.6246  2 Si 1.63
O40 0.9995 0.8074 0.1246  2 Si 1.63

Calculated values
**Electronic total energy**: -446.78 eV for the cell shown
**Density**: 3.3 g/cm3
**Total magnetic moment**: 0.00 μB per atom
**Space-group type**: P4/ncc, No. 130

Below is a relaxed Sm2Ni2O5 crystal, with properties calculated at the GGA+U level.

Cell: 8.6046 8.6046 8.6046 Å, 53.95 141.50 143.69°
Last column: nearest neighbours and their distance in Å.
Fractional coordinates of all 18 atoms:
Sm1 0.0186 0.1088 0.1274  5 O 2.32-2.49
Sm2 0.0186 0.3912 0.4098  5 O 2.32-2.49
Sm3 0.9814 0.6088 0.5902  5 O 2.32-2.49
Sm4 0.9814 0.8912 0.8726  5 O 2.32-2.49
Ni1 0.4105 0.7170 0.1935  4 O 1.94-2.06
Ni2 0.5142 0.0142 0.5000  6 O 1.98-2.17
Ni3 0.5142 0.5142 0.0000  6 O 1.98-2.17
Ni4 0.5234 0.2170 0.8065  4 O 1.94-2.06
O1 0.0144 0.2780 0.7808  2 Ni 1.98-1.99
O2 0.0144 0.7336 0.2364  2 Ni 1.98-1.99
O3 0.1904 0.8364 0.8539  2 Ni 2.03-2.06
O4 0.4653 0.1861 0.5548  2 Ni 1.94-2.17
O5 0.4653 0.4105 0.7792  2 Ni 1.94-2.17
O6 0.4972 0.2336 0.2192  2 Ni 1.98-1.99
O7 0.4972 0.7780 0.7636  2 Ni 1.98-1.99
O8 0.6313 0.6861 0.2208  2 Ni 1.94-2.17
O9 0.6313 0.9105 0.4452  2 Ni 1.94-2.17
O10 0.9825 0.3364 0.1461  2 Ni 2.03-2.06

Calculated values
**Electronic total energy**: -120.35 eV for the cell shown
**Density**: 7.1 g/cm3
**Total magnetic moment**: 0.44 μB per atom
**Space-group type**: Ima2, No. 46

Below is a relaxed NiSnO3 crystal, with properties calculated at the GGA+U level.

Cell: 5.3170 5.3169 9.9247 Å, 90.00 74.46 120.00°
Last column: nearest neighbours and their distance in Å.
Fractional coordinates of all 20 atoms:
Sn1 0.1462 0.5731 0.2807  6 O 2.06-2.16
Sn2 0.1462 0.0731 0.7807  6 O 2.06-2.16
Sn3 0.8538 0.4269 0.7193  6 O 2.06-2.16
Sn4 0.8538 0.9269 0.2193  6 O 2.06-2.16
O1 0.9505 0.8236 0.6259  2 Sn 2.06-2.16, 2 Ni 2.08-2.17
O2 0.2472 0.9237 0.1259  2 Sn 2.06-2.16, 2 Ni 2.08-2.17
O3 0.4495 0.3731 0.8741  2 Sn 2.06-2.16, 2 Ni 2.08-2.17
O4 0.2472 0.4236 0.6259  2 Sn 2.06-2.16, 2 Ni 2.08-2.17
O5 0.9504 0.3236 0.1259  2 Sn 2.06-2.16, 2 Ni 2.08-2.17
O6 0.5505 0.6269 0.1259  2 Sn 2.06-2.16, 2 Ni 2.08-2.17
O7 0.0495 0.1764 0.3741  2 Sn 2.06-2.16, 2 Ni 2.08-2.17
O8 0.5505 0.1269 0.6259  2 Sn 2.06-2.16, 2 Ni 2.08-2.17
O9 0.4495 0.8731 0.3741  2 Sn 2.06-2.16, 2 Ni 2.08-2.17
O10 0.0496 0.6764 0.8741  2 Sn 2.06-2.16, 2 Ni 2.08-2.17
O11 0.7528 0.5764 0.3741  2 Sn 2.06-2.16, 2 Ni 2.08-2.17
O12 0.7528 0.0763 0.8741  2 Sn 2.06-2.16, 2 Ni 2.08-2.17
Ni1 0.3535 0.6767 0.9698  6 O 2.08-2.17
Ni2 0.3535 0.1767 0.4698  6 O 2.08-2.17
Ni3 0.6465 0.8233 0.5302  6 O 2.08-2.17
Ni4 0.6465 0.3233 0.0302  6 O 2.08-2.17

Calculated values
**Electronic total energy**: -114.64 eV for the cell shown
**Density**: 6.5 g/cm3
**Total magnetic moment**: 0.00 μB per atom

Below is a relaxed SrNiO3 crystal, with properties calculated at the GGA+U level.

Cell: 8.7290 8.7290 3.8762 Å, 90.00 90.00 127.26°
Last column: nearest neighbours and their distance in Å.
Fractional coordinates of all 20 atoms:
Sr1 0.0000 0.5000 0.0000  12 O 2.72-2.78
Sr2 0.2472 0.2472 0.0000  12 O 2.73-2.79
Sr3 0.5000 0.0000 0.0000  12 O 2.72-2.78
Sr4 0.7528 0.7528 0.0000  12 O 2.73-2.79
Ni1 0.1234 0.8766 0.5000  6 O 1.85-2.01
Ni2 0.3764 0.6236 0.5000  6 O 1.93-2.03
Ni3 0.6236 0.3764 0.5000  6 O 1.93-2.03
Ni4 0.8766 0.1234 0.5000  6 O 1.85-2.01
O1 0.0000 0.0000 0.5000  2 Ni 1.93
O2 0.1101 0.3664 0.5000  2 Ni 1.85-2.03
O3 0.1259 0.8741 0.0000  2 Ni 1.94
O4 0.2517 0.7482 0.5000  2 Ni 1.95-2.01
O5 0.3664 0.1101 0.5000  2 Ni 1.85-2.03
O6 0.3773 0.6227 0.0000  2 Ni 1.94
O7 0.5000 0.5000 0.5000  2 Ni 1.93
O8 0.6227 0.3773 0.0000  2 Ni 1.94
O9 0.6336 0.8899 0.5000  2 Ni 1.85-2.03
O10 0.7482 0.2517 0.5000  2 Ni 1.95-2.01
O11 0.8741 0.1259 0.0000  2 Ni 1.94
O12 0.8899 0.6336 0.5000  2 Ni 1.85-2.03

Calculated values
**Electronic total energy**: -105.88 eV for the cell shown
**Density**: 5.5 g/cm3
**Total magnetic moment**: 0.00 μB per atom
**Space-group type**: Cmmm, No. 65

Below is a relaxed SrNiO3 crystal, with properties calculated at the GGA+U level.

Cell: 5.5157 7.7984 5.4910 Å, 90.00 90.00 90.00°
Last column: nearest neighbours and their distance in Å.
Fractional coordinates of all 20 atoms:
Sr1 0.0053 0.2500 0.0009  12 O 2.67-2.87
Sr2 0.4947 0.7500 0.5009  12 O 2.67-2.87
Sr3 0.5053 0.2500 0.4991  12 O 2.67-2.87
Sr4 0.9947 0.7500 0.9991  12 O 2.67-2.87
Ni1 0.0000 0.0000 0.5000  6 O 1.95
Ni2 0.0000 0.5000 0.5000  6 O 1.95
Ni3 0.5000 0.0000 0.0000  6 O 1.95
Ni4 0.5000 0.5000 0.0000  6 O 1.95
O1 0.0068 0.2500 0.5120  2 Ni 1.95
O2 0.2393 0.5064 0.7608  2 Ni 1.95
O3 0.2393 0.9936 0.7608  2 Ni 1.95
O4 0.2607 0.0064 0.2608  2 Ni 1.95
O5 0.2607 0.4936 0.2608  2 Ni 1.95
O6 0.4932 0.7500 0.0120  2 Ni 1.95
O7 0.5068 0.2500 0.9880  2 Ni 1.95
O8 0.7393 0.5064 0.7392  2 Ni 1.95
O9 0.7393 0.9936 0.7392  2 Ni 1.95
O10 0.7607 0.0064 0.2392  2 Ni 1.95
O11 0.7607 0.4936 0.2392  2 Ni 1.95
O12 0.9932 0.7500 0.4880  2 Ni 1.95

Calculated values
**Electronic total energy**: -106.10 eV for the cell shown
**Density**: 5.5 g/cm3
**Total magnetic moment**: 0.00 μB per atom
**Space-group type**: Pnma, No. 62

Below is a relaxed SrNiO3 crystal, with properties calculated at the GGA+U level.

Cell: 3.8539 3.8539 3.8393 Å, 90.01 90.01 90.22°
Last column: nearest neighbours and their distance in Å.
Fractional coordinates of all 5 atoms:
Sr1 0.0000 0.0000 0.0000  12 O 2.66-2.80
Ni1 0.5106 0.4894 0.5000  6 O 1.87-1.99
O1 0.4864 0.5136 0.0000  2 Ni 1.92
O2 0.4988 0.0052 0.4812  2 Ni 1.87-1.99
O3 0.9948 0.5012 0.5188  2 Ni 1.87-1.99

Calculated values
**Electronic total energy**: -26.41 eV for the cell shown
**Density**: 5.7 g/cm3
**Total magnetic moment**: 0.00 μB per atom
**Space-group type**: C2, No. 5